Record 1
# GdGa3Ru

Crystalline GdGa3Ru at its relaxed geometry (PBE, the Materials Project).

Geometry as POSCAR:
```
GdGa3Ru
1.0
6.467 0.000 0.000
0.000 6.467 0.000
0.000 0.000 6.467
Gd Ga Ru
3 9 3
Direct
0.000 0.000 0.500
0.000 0.500 0.000
0.500 0.000 0.000
0.000 0.000 0.000
0.289 0.289 0.289
0.289 0.289 0.711
0.289 0.711 0.289
0.289 0.711 0.711
0.711 0.289 0.289
0.711 0.289 0.711
0.711 0.711 0.289
0.711 0.711 0.711
0.000 0.500 0.500
0.500 0.000 0.500
0.500 0.500 0.000
```

Summary:
Calculated formation energy (meV/atom): -582
Space group: Pm-3m, No. 221

Record 2
# GaGe3

Crystalline GaGe3 at its relaxed geometry (PBE, the Materials Project).

Geometry as POSCAR:
```
GaGe3
1.0
0.000 3.387 3.387
3.387 0.000 3.387
3.387 3.387 0.000
Ga Ge
1 3
Direct
0.000 0.000 0.000
0.250 0.250 0.250
0.500 0.500 0.500
0.750 0.750 0.750
```

Summary:
Excess energy over the best structure of this formula in the dataset (kJ/mol of formula units): 7.6
Magnetic moment (Bohr magnetons per cell): 0.00
Calculated formation energy (meV/atom): 259
Space group: Fm-3m, No. 225

Record 3
# GaGe3

Crystalline GaGe3 at its relaxed geometry (PBE, the Materials Project).

Geometry as POSCAR:
```
GaGe3
1.0
4.278 0.000 0.000
0.000 4.278 0.000
0.000 0.000 4.278
Ga Ge
1 3
Direct
0.000 0.000 0.000
0.000 0.500 0.500
0.500 0.000 0.500
0.500 0.500 0.000
```

Summary:
Excess energy over the best structure of this formula in the dataset (kJ/mol of formula units): 0.0
Magnetic moment (Bohr magnetons per cell): 0.00
Calculated formation energy (meV/atom): 240
Space group: Pm-3m, No. 221

Record 4
# GaGe3

Crystalline GaGe3 at its relaxed geometry (PBE, the Materials Project).

Geometry as POSCAR:
```
GaGe3
1.0
5.985 0.000 0.000
-2.993 5.183 0.000
0.000 0.000 5.035
Ga Ge
2 6
Direct
0.333 0.667 0.250
0.667 0.333 0.750
0.164 0.327 0.750
0.164 0.836 0.750
0.327 0.164 0.250
0.673 0.836 0.750
0.836 0.164 0.250
0.836 0.673 0.250
```

Summary:
Excess energy over the best structure of this formula in the dataset (kJ/mol of formula units): 5.7
Magnetic moment (Bohr magnetons per cell): 0.00
Calculated formation energy (meV/atom): 255
Space group: P6_3/mmc, No. 194